No. 1
A plane-wave DFT calculation with r²SCAN was carried out for a relaxed Sr2CdSn crystal.

Output
E_form = -592 meV per atom
SG = Fm-3m (225)

Cell: 5.711 5.711 5.711 Å, 60.00 60.00 60.00°
Fractional positions:
Sr 0.500 0.500 0.500
Sr 0.000 0.000 0.000
Cd 0.250 0.250 0.250
Sn 0.750 0.750 0.750

---

No. 2
A plane-wave DFT calculation with r²SCAN was carried out for a relaxed Sr2HgGe crystal.

Output
E_form = -625 meV per atom
SG = Fm-3m (225)

Cell: 5.522 5.522 5.522 Å, 60.00 60.00 60.00°
Fractional positions:
Sr 0.750 0.750 0.750
Sr 0.250 0.250 0.250
Hg 0.000 0.000 0.000
Ge 0.500 0.500 0.500

---

No. 3
A plane-wave DFT calculation with r²SCAN was carried out for a relaxed Ce2In crystal.

Output
E_form = -407 meV per atom
SG = P6_3/mmc (194)

Cell: 5.559 5.559 6.737 Å, 90.00 90.00 120.00°
Fractional positions:
Ce 0.333 0.667 0.750
Ce 0.667 0.333 0.250
Ce 0.000 0.000 0.500
Ce 0.000 0.000 0.000
In 0.667 0.333 0.750
In 0.333 0.667 0.250

---

No. 4
A plane-wave DFT calculation with r²SCAN was carried out for a relaxed InCl3 crystal.

Output
E_form = -1149 meV per atom
SG = P6_3/mmc (194)

Cell: 9.589 9.588 3.411 Å, 90.00 90.00 120.00°
Fractional positions:
In 0.667 0.333 0.250
In 0.333 0.667 0.750
Cl 0.782 0.218 0.750
Cl 0.436 0.218 0.750
Cl 0.782 0.564 0.750
Cl 0.218 0.782 0.250
Cl 0.564 0.782 0.250
Cl 0.218 0.436 0.250

---

No. 5
A plane-wave DFT calculation with r²SCAN was carried out for a relaxed CrWO4 crystal.

Output
E_form = -2286 meV per atom
SG = Cmmm (65)

Cell: 2.924 4.661 4.661 Å, 92.05 90.00 90.00°
Fractional positions:
Cr 0.000 0.500 0.500
W 0.500 0.000 0.000
O 0.000 0.795 0.205
O 0.000 0.205 0.795
O 0.500 0.705 0.705
O 0.500 0.295 0.295

---

No. 6
A plane-wave DFT calculation with r²SCAN was carried out for a relaxed Na3As crystal.

Output
E_form = -510 meV per atom
SG = Fm-3m (225)
Relative energy among the computed polymorphs = 42.5 meV per atom

Cell: 5.003 5.003 5.003 Å, 60.00 60.00 60.00°
Fractional positions:
Na 0.750 0.750 0.750
Na 0.500 0.500 0.500
Na 0.250 0.250 0.250
As 0.000 0.000 0.000

---

No. 7
A plane-wave DFT calculation with r²SCAN was carried out for a relaxed PrAl6Fe6 crystal.

Output
E_form = -275 meV per atom
SG = C2/m (12)

Cell: 6.642 6.653 6.654 Å, 135.97 98.07 98.10°
Fractional positions:
Pr 0.000 0.000 0.000
Al 0.350 0.350 0.000
Al 0.650 0.650 0.000
Al 0.659 0.000 0.659
Al 0.341 0.000 0.341
Al 0.795 0.295 0.500
Al 0.205 0.705 0.500
Fe 0.500 0.000 0.000
Fe 0.500 0.500 0.500
Fe 0.000 0.000 0.500
Fe 0.000 0.500 0.000
Fe 0.239 0.500 0.740
Fe 0.761 0.500 0.260

---

No. 8
A plane-wave DFT calculation with r²SCAN was carried out for a relaxed SmSbS crystal.

Output
E_form = -1659 meV per atom
SG = Pnma (62)

Cell: 4.120 4.111 17.617 Å, 90.00 90.00 90.01°
Fractional positions:
Sm 0.756 0.250 0.154
Sm 0.744 0.250 0.654
Sm 0.244 0.750 0.846
Sm 0.256 0.750 0.346
Sb 0.753 0.750 0.500
Sb 0.747 0.750 0.000
Sb 0.247 0.250 0.500
Sb 0.253 0.250 0.000
S 0.757 0.250 0.313
S 0.743 0.250 0.813
S 0.243 0.750 0.687
S 0.257 0.750 0.187

---

No. 9
A plane-wave DFT calculation with r²SCAN was carried out for a relaxed Yb3PbO crystal.

Output
E_form = -1428 meV per atom
SG = Pm-3m (221)

Cell: 4.669 4.669 4.669 Å, 90.00 90.00 90.00°
Fractional positions:
Yb 0.500 0.000 0.500
Yb 0.000 0.500 0.500
Yb 0.500 0.500 0.000
Pb 0.000 0.000 0.000
O 0.500 0.500 0.500

---

No. 10
A plane-wave DFT calculation with r²SCAN was carried out for a relaxed SiO2 crystal.

Output
E_form = -3030 meV per atom
SG = P2_12_12_1 (19)

Cell: 4.908 8.257 26.432 Å, 90.00 90.00 90.00°
Fractional positions:
Si 0.659 0.669 0.138
Si 0.159 0.831 0.862
Si 0.341 0.169 0.362
Si 0.841 0.331 0.638
Si 0.501 0.294 0.139
Si 0.001 0.206 0.861
Si 0.499 0.794 0.361
Si 0.999 0.706 0.639
Si 0.661 0.811 0.028
Si 0.161 0.689 0.972
Si 0.339 0.311 0.472
Si 0.839 0.189 0.528
Si 0.497 0.185 0.028
Si 0.997 0.315 0.972
Si 0.503 0.685 0.472
Si 0.003 0.815 0.528
Si 0.159 0.790 0.194
Si 0.659 0.710 0.806
Si 0.841 0.290 0.306
Si 0.341 0.210 0.694
Si 0.003 0.164 0.195
Si 0.503 0.336 0.805
Si 0.997 0.664 0.305
Si 0.497 0.836 0.695
O 0.114 0.982 0.195
O 0.614 0.518 0.805
O 0.886 0.482 0.305
O 0.386 0.018 0.695
O 0.613 0.476 0.138
O 0.113 0.024 0.862
O 0.387 0.976 0.362
O 0.887 0.524 0.638
O 0.612 0.003 0.028
O 0.112 0.497 0.972
O 0.388 0.503 0.472
O 0.888 0.997 0.528
O 0.585 0.740 0.083
O 0.085 0.760 0.917
O 0.415 0.240 0.417
O 0.915 0.260 0.583
O 0.402 0.238 0.084
O 0.902 0.262 0.916
O 0.598 0.738 0.416
O 0.098 0.762 0.584
O 0.910 0.215 0.251
O 0.410 0.285 0.749
O 0.090 0.715 0.249
O 0.590 0.785 0.751
O 0.474 0.753 0.181
O 0.974 0.747 0.819
O 0.526 0.253 0.319
O 0.026 0.247 0.681
O 0.244 0.284 0.177
O 0.744 0.216 0.823
O 0.756 0.784 0.323
O 0.256 0.716 0.677
O 0.974 0.706 0.151
O 0.474 0.794 0.849
O 0.026 0.206 0.349
O 0.526 0.294 0.651
O 0.744 0.176 0.158
O 0.244 0.324 0.842
O 0.256 0.676 0.342
O 0.756 0.824 0.658
O 0.476 0.725 0.985
O 0.976 0.775 0.015
O 0.524 0.225 0.515
O 0.024 0.275 0.485
O 0.237 0.194 0.991
O 0.737 0.306 0.009
O 0.763 0.694 0.509
O 0.263 0.806 0.491

---

No. 11
A plane-wave DFT calculation with r²SCAN was carried out for a relaxed Ti3PbO7 crystal.

Output
E_form = -2972 meV per atom
SG = P2_1/m (11)

Cell: 3.815 6.610 10.761 Å, 81.86 90.00 90.00°
Fractional positions:
Ti 0.250 0.449 0.899
Ti 0.750 0.551 0.101
Ti 0.250 0.307 0.565
Ti 0.750 0.693 0.435
Ti 0.250 0.747 0.655
Ti 0.750 0.253 0.345
Pb 0.250 0.995 0.150
Pb 0.750 0.005 0.850
O 0.250 0.525 0.074
O 0.750 0.475 0.926
O 0.250 0.256 0.383
O 0.750 0.744 0.617
O 0.250 0.644 0.479
O 0.750 0.356 0.521
O 0.250 0.167 0.944
O 0.750 0.833 0.056
O 0.250 0.045 0.629
O 0.750 0.955 0.371
O 0.250 0.435 0.714
O 0.750 0.565 0.286
O 0.250 0.750 0.825
O 0.750 0.250 0.175

---

No. 12
A plane-wave DFT calculation with r²SCAN was carried out for a relaxed MoCl6 crystal.

Output
E_form = -843 meV per atom
SG = P-31m (162)

Cell: 5.666 6.173 6.173 Å, 60.00 90.00 90.00°
Fractional positions:
Mo 0.500 0.000 0.000
Cl 0.734 0.696 0.000
Cl 0.734 0.304 0.696
Cl 0.734 0.000 0.304
Cl 0.266 0.696 0.304
Cl 0.266 0.000 0.696
Cl 0.266 0.304 0.000

---

Q: Which value of E_form does entry 10 give?
A: -3030 meV per atom

---

Q: Among the records above, which one has the highest E_form?
A: PrAl6Fe6

---

Q: What is the E_form in the ninth record?
A: -1428 meV per atom